one.
VASP calculation (GGA-PBE) on an optimized crystal structure of Cu7Te4.

The structure in CIF format:
```
data_Cu7Te4
_chemical_formula_sum 'Cu14 Te8'
_cell_length_a 7.7411
_cell_length_b 7.7411
_cell_length_c 7.8513
_cell_angle_alpha 90.00
_cell_angle_beta 90.00
_cell_angle_gamma 120.00
_space_group_name_H-M_alt 'P 1'
_space_group_IT_number 1
loop_
_space_group_symop_operation_xyz
'x,y,z'
loop_
_atom_site_label
_atom_site_type_symbol
_atom_site_fract_x
_atom_site_fract_y
_atom_site_fract_z
Cu1 Cu 0.8536 0.7072 0.8485
Te1 Te 0.0000 0.0000 0.5468
Cu2 Cu 0.2928 0.1464 0.8485
Cu3 Cu 0.4011 0.2006 0.4789
Cu4 Cu 0.2041 0.4082 0.4472
Te2 Te 0.5189 0.0377 0.2275
Cu5 Cu 0.6667 0.3333 0.9714
Cu6 Cu 0.5918 0.7959 0.4472
Cu7 Cu 0.7994 0.2006 0.4789
Cu8 Cu 0.8536 0.1464 0.8485
Te3 Te 0.4938 0.5062 0.7155
Te4 Te 0.0000 0.0000 0.0645
Cu9 Cu 0.5849 0.7925 0.9636
Cu10 Cu 0.3333 0.6667 0.2053
Te5 Te 0.5189 0.4811 0.2275
Cu11 Cu 0.2041 0.7959 0.4472
Cu12 Cu 0.2075 0.4151 0.9636
Cu13 Cu 0.7994 0.5989 0.4789
Cu14 Cu 0.2075 0.7925 0.9636
Te6 Te 0.9623 0.4811 0.2275
Te7 Te 0.4938 0.9876 0.7155
Te8 Te 0.0124 0.5062 0.7155
```

Results
SG = P3m1, No. 156



two.
VASP calculation (GGA-PBE) on an optimized crystal structure of Cu7Te4.

The structure in CIF format:
```
data_Cu7Te4
_chemical_formula_sum 'Cu14 Te8'
_cell_length_a 8.1388
_cell_length_b 7.7993
_cell_length_c 7.5348
_cell_angle_alpha 118.88
_cell_angle_beta 90.00
_cell_angle_gamma 90.01
_space_group_name_H-M_alt 'P 1'
_space_group_IT_number 1
loop_
_space_group_symop_operation_xyz
'x,y,z'
loop_
_atom_site_label
_atom_site_type_symbol
_atom_site_fract_x
_atom_site_fract_y
_atom_site_fract_z
Cu1 Cu 0.1515 0.1376 0.2935
Te1 Te 0.7343 0.4757 0.5154
Te2 Te 0.8460 0.0349 0.5175
Te3 Te 0.2444 0.5032 0.0094
Cu2 Cu 0.1421 0.7262 0.8631
Te4 Te 0.2444 0.5032 0.4939
Cu3 Cu 0.0164 0.3965 0.1982
Te5 Te 0.9318 0.0041 0.0021
Cu4 Cu 0.0436 0.8031 0.2191
Cu5 Cu 0.5379 0.4190 0.2095
Cu6 Cu 0.8054 0.6669 0.3334
Te6 Te 0.7343 0.4757 0.9602
Cu7 Cu 0.5261 0.1922 0.8071
Cu8 Cu 0.0436 0.8031 0.5840
Te7 Te 0.4520 0.9974 0.9987
Te8 Te 0.3394 0.9805 0.4903
Cu9 Cu 0.5073 0.6141 0.8071
Cu10 Cu 0.5704 0.7979 0.2022
Cu11 Cu 0.0490 0.3407 0.6704
Cu12 Cu 0.1515 0.1376 0.8441
Cu13 Cu 0.5704 0.7979 0.5958
Cu14 Cu 0.5261 0.1922 0.3851
```

Results
SG = Cm, No. 8



Relative energies, unit kJ/mol of atoms: one 1.2; two 0.0



one.
VASP calculation (GGA-PBE) on an optimized crystal structure of LiDy2O2F2.

The structure in CIF format:
```
data_LiDy2O2F2
_chemical_formula_sum 'Li1 Dy2 O2 F2'
_cell_length_a 3.9444
_cell_length_b 3.9444
_cell_length_c 6.7377
_cell_angle_alpha 72.98
_cell_angle_beta 72.98
_cell_angle_gamma 60.00
_space_group_name_H-M_alt 'P 1'
_space_group_IT_number 1
loop_
_space_group_symop_operation_xyz
'x,y,z'
loop_
_atom_site_label
_atom_site_type_symbol
_atom_site_fract_x
_atom_site_fract_y
_atom_site_fract_z
Dy1 Dy 0.7317 0.7317 0.8049
O1 O 0.6072 0.6072 0.1783
Li1 Li 0.5000 0.5000 0.5000
F1 F 0.1383 0.1383 0.5852
F2 F 0.8617 0.8617 0.4148
O2 O 0.3928 0.3928 0.8217
Dy2 Dy 0.2683 0.2683 0.1951
```

Results
SG = R-3m, No. 166



two.
VASP calculation (GGA-PBE) on an optimized crystal structure of LiDy2O2F2.

The structure in CIF format:
```
data_LiDy2O2F2
_chemical_formula_sum 'Li1 Dy2 O2 F2'
_cell_length_a 3.5175
_cell_length_b 3.5175
_cell_length_c 8.8677
_cell_angle_alpha 78.56
_cell_angle_beta 78.56
_cell_angle_gamma 60.00
_space_group_name_H-M_alt 'P 1'
_space_group_IT_number 1
loop_
_space_group_symop_operation_xyz
'x,y,z'
loop_
_atom_site_label
_atom_site_type_symbol
_atom_site_fract_x
_atom_site_fract_y
_atom_site_fract_z
O1 O 0.3821 0.3821 0.8536
Dy1 Dy 0.2419 0.2419 0.2743
Li1 Li 0.0000 0.0000 0.0000
O2 O 0.6179 0.6179 0.1464
F1 F 0.8645 0.8645 0.4064
Dy2 Dy 0.7581 0.7581 0.7257
F2 F 0.1355 0.1355 0.5936
```

Results
SG = R-3m, No. 166



Relative energies, unit kJ/mol of atoms: one 0.0; two 17.3



one.
VASP calculation (GGA-PBE) on an optimized crystal structure of Dy2Ge2O7.

The structure in CIF format:
```
data_Dy2Ge2O7
_chemical_formula_sum 'Dy4 Ge4 O14'
_cell_length_a 8.1106
_cell_length_b 5.3725
_cell_length_c 7.6432
_cell_angle_alpha 71.08
_cell_angle_beta 90.00
_cell_angle_gamma 90.00
_space_group_name_H-M_alt 'P 1'
_space_group_IT_number 1
loop_
_space_group_symop_operation_xyz
'x,y,z'
loop_
_atom_site_label
_atom_site_type_symbol
_atom_site_fract_x
_atom_site_fract_y
_atom_site_fract_z
O1 O 0.7500 0.8244 0.9470
O2 O 0.4301 0.0859 0.6706
O3 O 0.9351 0.4716 0.7922
Dy1 Dy 0.0000 0.0000 0.0000
O4 O 0.5649 0.4716 0.7922
Ge1 Ge 0.7500 0.0983 0.3241
Ge2 Ge 0.2500 0.9017 0.6759
O5 O 0.7500 0.2322 0.0742
Dy2 Dy 0.5000 0.0000 0.0000
O6 O 0.5699 0.9141 0.3294
Dy3 Dy 0.5000 0.5000 0.5000
O7 O 0.7500 0.3258 0.4444
O8 O 0.2500 0.7678 0.9258
Ge3 Ge 0.7500 0.5371 0.8868
O9 O 0.0649 0.5284 0.2078
O10 O 0.2500 0.6742 0.5556
Ge4 Ge 0.2500 0.4629 0.1132
O11 O 0.4351 0.5284 0.2078
O12 O 0.0699 0.0859 0.6706
O13 O 0.9301 0.9141 0.3294
O14 O 0.2500 0.1756 0.0530
Dy4 Dy 0.0000 0.5000 0.5000
```

Results
SG = P2_1/m, No. 11



two.
VASP calculation (GGA-PBE) on an optimized crystal structure of Dy2Ge2O7.

The structure in CIF format:
```
data_Dy2Ge2O7
_chemical_formula_sum 'Dy8 Ge8 O28'
_cell_length_a 5.2913
_cell_length_b 8.3143
_cell_length_c 13.9516
_cell_angle_alpha 90.00
_cell_angle_beta 90.00
_cell_angle_gamma 90.00
_space_group_name_H-M_alt 'P 1'
_space_group_IT_number 1
loop_
_space_group_symop_operation_xyz
'x,y,z'
loop_
_atom_site_label
_atom_site_type_symbol
_atom_site_fract_x
_atom_site_fract_y
_atom_site_fract_z
Ge1 Ge 0.8694 0.2500 0.9507
Ge2 Ge 0.6306 0.2500 0.4507
O1 O 0.4512 0.2500 0.1552
O2 O 0.8056 0.4283 0.4501
Dy1 Dy 0.3369 0.9854 0.8754
Ge3 Ge 0.3694 0.7500 0.5493
O3 O 0.0052 0.0721 0.2363
O4 O 0.9948 0.9279 0.7637
O5 O 0.0052 0.4279 0.2363
Ge4 Ge 0.1323 0.2500 0.1865
O6 O 0.9512 0.7500 0.3448
O7 O 0.0782 0.7500 0.9174
O8 O 0.5052 0.5721 0.2637
O9 O 0.1644 0.2500 0.8924
O10 O 0.1944 0.5717 0.5499
O11 O 0.4948 0.0721 0.7363
Ge5 Ge 0.6323 0.7500 0.3135
O12 O 0.6944 0.4283 0.9501
Dy2 Dy 0.8369 0.0146 0.6246
Dy3 Dy 0.3369 0.5146 0.8754
Dy4 Dy 0.6631 0.0146 0.1246
O13 O 0.6944 0.0717 0.9501
O14 O 0.3356 0.2500 0.3924
O15 O 0.8356 0.7500 0.1076
O16 O 0.3056 0.5717 0.0499
O17 O 0.6644 0.7500 0.6076
Dy5 Dy 0.6631 0.4854 0.1246
O18 O 0.1944 0.9283 0.5499
O19 O 0.9948 0.5721 0.7637
O20 O 0.8056 0.0717 0.4501
O21 O 0.5488 0.7500 0.8448
Dy6 Dy 0.1631 0.9854 0.3754
Dy7 Dy 0.8369 0.4854 0.6246
O22 O 0.5052 0.9279 0.2637
Ge6 Ge 0.1306 0.7500 0.0493
O23 O 0.3056 0.9283 0.0499
O24 O 0.0488 0.2500 0.6552
Dy8 Dy 0.1631 0.5146 0.3754
O25 O 0.4948 0.4279 0.7363
Ge7 Ge 0.8677 0.7500 0.8135
O26 O 0.4218 0.7500 0.4174
O27 O 0.5782 0.2500 0.5826
O28 O 0.9218 0.2500 0.0826
Ge8 Ge 0.3677 0.2500 0.6865
```

Results
SG = Pnma, No. 62



three.
VASP calculation (GGA-PBE) on an optimized crystal structure of Dy2Ge2O7.

The structure in CIF format:
```
data_Dy2Ge2O7
_chemical_formula_sum 'Dy4 Ge4 O14'
_cell_length_a 11.0952
_cell_length_b 4.9972
_cell_length_c 5.6855
_cell_angle_alpha 84.17
_cell_angle_beta 90.00
_cell_angle_gamma 90.00
_space_group_name_H-M_alt 'P 1'
_space_group_IT_number 1
loop_
_space_group_symop_operation_xyz
'x,y,z'
loop_
_atom_site_label
_atom_site_type_symbol
_atom_site_fract_x
_atom_site_fract_y
_atom_site_fract_z
O1 O 0.6902 0.8865 0.9561
O2 O 0.8098 0.8865 0.4561
O3 O 0.2116 0.6267 0.2272
O4 O 0.0000 0.5000 0.5000
Ge1 Ge 0.8808 0.6403 0.6535
Ge2 Ge 0.1192 0.3597 0.3465
O5 O 0.0507 0.2006 0.1140
O6 O 0.7116 0.3733 0.2728
O7 O 0.3098 0.1135 0.0439
O8 O 0.2884 0.6267 0.7272
O9 O 0.5000 0.5000 0.0000
O10 O 0.1902 0.1135 0.5439
O11 O 0.9493 0.7994 0.8860
O12 O 0.5507 0.7994 0.3860
Dy1 Dy 0.1490 0.8886 0.9018
Dy2 Dy 0.3510 0.8886 0.4018
Dy3 Dy 0.8510 0.1114 0.0982
Ge3 Ge 0.3808 0.3597 0.8465
O13 O 0.4493 0.2006 0.6140
Dy4 Dy 0.6490 0.1114 0.5982
O14 O 0.7884 0.3733 0.7728
Ge4 Ge 0.6192 0.6403 0.1535
```

Results
SG = P2_1/c, No. 14



Relative energies, unit kJ/mol of atoms: one 5.1; two 1.5; three 0.0



one.
VASP calculation (GGA-PBE) on an optimized crystal structure of Dy2Ge6Pd.

The structure in CIF format:
```
data_Dy2Ge6Pd
_chemical_formula_sum 'Dy2 Ge6 Pd1'
_cell_length_a 4.0799
_cell_length_b 4.1016
_cell_length_c 11.1344
_cell_angle_alpha 90.00
_cell_angle_beta 100.56
_cell_angle_gamma 90.00
_space_group_name_H-M_alt 'P 1'
_space_group_IT_number 1
loop_
_space_group_symop_operation_xyz
'x,y,z'
loop_
_atom_site_label
_atom_site_type_symbol
_atom_site_fract_x
_atom_site_fract_y
_atom_site_fract_z
Ge1 Ge 0.4935 0.5000 0.9871
Ge2 Ge 0.3796 0.5000 0.7591
Ge3 Ge 0.9927 0.0000 0.9853
Ge4 Ge 0.2394 0.0000 0.4787
Pd1 Pd 0.5590 0.0000 0.1180
Dy1 Dy 0.7789 0.5000 0.5579
Ge5 Ge 0.8785 0.0000 0.7571
Dy2 Dy 0.1159 0.5000 0.2319
Ge6 Ge 0.6695 0.0000 0.3389
```

Results
SG = Amm2, No. 38



two.
VASP calculation (GGA-PBE) on an optimized crystal structure of Dy2Ge6Pd.

The structure in CIF format:
```
data_Dy2Ge6Pd
_chemical_formula_sum 'Dy8 Ge24 Pd4'
_cell_length_a 5.7846
_cell_length_b 5.7846
_cell_length_c 21.6744
_cell_angle_alpha 90.00
_cell_angle_beta 90.00
_cell_angle_gamma 90.63
_space_group_name_H-M_alt 'P 1'
_space_group_IT_number 1
loop_
_space_group_symop_operation_xyz
'x,y,z'
loop_
_atom_site_label
_atom_site_type_symbol
_atom_site_fract_x
_atom_site_fract_y
_atom_site_fract_z
Dy1 Dy 0.3730 0.8757 0.9188
Ge1 Ge 0.8489 0.4033 0.1929
Dy2 Dy 0.3757 0.8730 0.5812
Ge2 Ge 0.5967 0.1511 0.8071
Dy3 Dy 0.8757 0.3730 0.9188
Ge3 Ge 0.9049 0.9049 0.3069
Ge4 Ge 0.0951 0.0951 0.6931
Pd1 Pd 0.1273 0.1273 0.1417
Ge5 Ge 0.3489 0.9033 0.3071
Ge6 Ge 0.4049 0.4049 0.1931
Ge7 Ge 0.3476 0.3476 0.3081
Dy4 Dy 0.1243 0.6270 0.0812
Ge8 Ge 0.5951 0.5951 0.8069
Ge9 Ge 0.0967 0.6511 0.6929
Pd2 Pd 0.8727 0.8727 0.8583
Ge10 Ge 0.4033 0.8489 0.1929
Ge11 Ge 0.3675 0.3675 0.5282
Pd3 Pd 0.6273 0.6273 0.3583
Ge12 Ge 0.6325 0.6325 0.4718
Ge13 Ge 0.6187 0.6187 0.0435
Dy5 Dy 0.8730 0.3757 0.5812
Ge14 Ge 0.8675 0.8675 0.9718
Ge15 Ge 0.6511 0.0967 0.6929
Ge16 Ge 0.3813 0.3813 0.9565
Dy6 Dy 0.6270 0.1243 0.0812
Dy7 Dy 0.6243 0.1270 0.4188
Pd4 Pd 0.3727 0.3727 0.6417
Ge17 Ge 0.1524 0.1524 0.8081
Ge18 Ge 0.1187 0.1187 0.4565
Ge19 Ge 0.1325 0.1325 0.0282
Ge20 Ge 0.1511 0.5967 0.8071
Ge21 Ge 0.6524 0.6524 0.6919
Ge22 Ge 0.8813 0.8813 0.5435
Ge23 Ge 0.9033 0.3489 0.3071
Ge24 Ge 0.8476 0.8476 0.1919
Dy8 Dy 0.1270 0.6243 0.4188
```

Results
SG = Cmce, No. 64



Relative energies, unit kJ/mol of atoms: one 6.6; two 0.0